<A>
Compound: LiMn2F6
Source: the Materials Project
Functional: GGA+U
Structure: relaxed

Values from the calculation:
The calculation puts the maximum piezoelectric response at 0.454 C/m². The space group is P321 (150).

Cell: 8.868 8.868 4.678 Å, 90.00 90.00 120.00°
Atoms (fractional coordinates):
Li  0.000  0.000  0.000
Li  0.333  0.667  0.486
Li  0.667  0.333  0.514
Mn  0.000  0.313  0.500
Mn  0.000  0.644  0.000
Mn  0.313  0.000  0.500
Mn  0.356  0.356  0.000
Mn  0.644  0.000  0.000
Mn  0.687  0.687  0.500
F  0.105  0.524  0.729
F  0.109  0.224  0.754
F  0.115  0.891  0.754
F  0.212  0.768  0.267
F  0.224  0.109  0.246
F  0.232  0.443  0.267
F  0.419  0.895  0.729
F  0.443  0.232  0.733
F  0.476  0.581  0.729
F  0.524  0.105  0.271
F  0.557  0.788  0.267
F  0.581  0.476  0.271
F  0.768  0.212  0.733
F  0.776  0.885  0.754
F  0.788  0.557  0.733
F  0.885  0.776  0.246
F  0.891  0.115  0.246
F  0.895  0.419  0.271

---

<B>
Compound: LiMn2F6
Source: the Materials Project
Functional: GGA+U
Structure: relaxed

Values from the calculation:
The calculation puts the magnetization at 9.00 μB/f.u. The calculation puts the maximum piezoelectric response at 0.571 C/m². The space group is C2 (5).

Cell: 5.306 5.306 4.513 Å, 90.77 90.77 116.10°
Atoms (fractional coordinates):
Li  0.000  0.000  0.000
Mn  0.337  0.663  0.500
Mn  0.684  0.316  0.500
F  0.013  0.331  0.252
F  0.037  0.668  0.730
F  0.332  0.963  0.270
F  0.354  0.372  0.724
F  0.628  0.646  0.276
F  0.669  0.987  0.748

---

Relative stability in eV/atom, measured from the most stable structure: <A> 0.000; <B> 0.052

---

<A>
Compound: Li4MnF7
Source: the Materials Project
Functional: GGA+U
Structure: relaxed

Values from the calculation:
The calculation puts the magnetization at 4.00 μB/f.u. The space group is C2/c (15).

Cell: 7.690 7.690 5.414 Å, 101.02 101.02 71.29°
Atoms (fractional coordinates):
Li  0.079  0.194  0.242
Li  0.194  0.079  0.742
Li  0.261  0.442  0.670
Li  0.442  0.261  0.170
Li  0.558  0.739  0.830
Li  0.739  0.558  0.330
Li  0.806  0.921  0.258
Li  0.921  0.806  0.758
Mn  0.260  0.740  0.250
Mn  0.740  0.260  0.750
F  0.049  0.951  0.250
F  0.117  0.286  0.579
F  0.163  0.659  0.919
F  0.286  0.117  0.079
F  0.313  0.494  0.358
F  0.341  0.837  0.581
F  0.494  0.313  0.858
F  0.506  0.687  0.142
F  0.659  0.163  0.419
F  0.687  0.506  0.642
F  0.714  0.883  0.921
F  0.837  0.341  0.081
F  0.883  0.714  0.421
F  0.951  0.049  0.750

---

<B>
Compound: Li4MnF7
Source: the Materials Project
Functional: GGA+U
Structure: relaxed

Values from the calculation:
The calculation puts the magnetization at 4.00 μB/f.u. The space group is F-43m (216).

Cell: 5.981 5.981 5.981 Å, 60.00 60.00 60.00°
Atoms (fractional coordinates):
Li  0.376  0.376  0.376
Li  0.376  0.376  0.871
Li  0.376  0.871  0.376
Li  0.871  0.376  0.376
Mn  0.750  0.750  0.750
F  0.500  0.500  0.500
F  0.514  0.514  0.986
F  0.514  0.986  0.514
F  0.514  0.986  0.986
F  0.986  0.514  0.514
F  0.986  0.514  0.986
F  0.986  0.986  0.514

---

<C>
Compound: Li4MnF7
Source: the Materials Project
Functional: GGA+U
Structure: relaxed

Values from the calculation:
The calculation puts the magnetization at 4.00 μB/f.u. The space group is P-1 (2).

Cell: 5.701 7.042 7.494 Å, 62.70 69.53 76.39°
Atoms (fractional coordinates):
Li  0.016  0.289  0.148
Li  0.034  0.276  0.624
Li  0.332  0.455  0.693
Li  0.346  0.469  0.187
Li  0.654  0.531  0.813
Li  0.668  0.545  0.307
Li  0.966  0.724  0.376
Li  0.984  0.711  0.852
Mn  0.500  0.000  0.000
Mn  0.500  0.000  0.500
F  0.008  0.567  0.654
F  0.160  0.975  0.653
F  0.208  0.162  0.929
F  0.275  0.522  0.934
F  0.317  0.758  0.193
F  0.400  0.116  0.246
F  0.423  0.324  0.482
F  0.577  0.676  0.518
F  0.600  0.884  0.754
F  0.683  0.242  0.807
F  0.725  0.478  0.066
F  0.792  0.838  0.071
F  0.840  0.025  0.347
F  0.992  0.433  0.346

---

Relative stability in eV/atom, measured from the most stable structure: <A> 0.025; <B> 0.016; <C> 0.000

---

<A>
Compound: Li3MnF5
Source: the Materials Project
Functional: GGA+U
Structure: relaxed

Values from the calculation:
The calculation puts the magnetization at 5.00 μB/f.u. The space group is Pnma (62).

Cell: 10.601 6.624 6.718 Å, 90.00 90.00 90.00°
Atoms (fractional coordinates):
Li  0.045  0.250  0.237
Li  0.173  0.539  0.769
Li  0.173  0.961  0.769
Li  0.327  0.039  0.269
Li  0.327  0.461  0.269
Li  0.455  0.750  0.737
Li  0.545  0.250  0.263
Li  0.673  0.539  0.731
Li  0.673  0.961  0.731
Li  0.827  0.039  0.231
Li  0.827  0.461  0.231
Li  0.955  0.750  0.763
Mn  0.079  0.750  0.266
Mn  0.421  0.250  0.766
Mn  0.579  0.750  0.234
Mn  0.921  0.250  0.734
F  0.096  0.750  0.950
F  0.099  0.750  0.580
F  0.119  0.250  0.760
F  0.152  0.035  0.262
F  0.152  0.465  0.262
F  0.348  0.535  0.762
F  0.348  0.965  0.762
F  0.381  0.750  0.260
F  0.401  0.250  0.080
F  0.404  0.250  0.450
F  0.596  0.750  0.550
F  0.599  0.750  0.920
F  0.619  0.250  0.740
F  0.652  0.035  0.238
F  0.652  0.465  0.238
F  0.848  0.535  0.738
F  0.848  0.965  0.738
F  0.881  0.750  0.240
F  0.901  0.250  0.420
F  0.904  0.250  0.050

---

<B>
Compound: Li3MnF5
Source: the Materials Project
Functional: GGA+U
Structure: relaxed

Values from the calculation:
The calculation puts the magnetization at 5.00 μB/f.u. The space group is P1 (1).

Cell: 9.227 9.270 10.341 Å, 72.94 72.77 68.28°
Atoms (fractional coordinates):
Li  0.000  0.000  0.000
Li  0.002  0.497  0.500
Li  0.050  0.518  0.147
Li  0.097  0.075  0.189
Li  0.097  0.577  0.688
Li  0.160  0.149  0.759
Li  0.177  0.659  0.268
Li  0.263  0.736  0.500
Li  0.269  0.240  0.017
Li  0.350  0.842  0.680
Li  0.419  0.902  0.267
Li  0.420  0.384  0.769
Li  0.476  0.476  0.036
Li  0.504  0.997  0.495
Li  0.592  0.075  0.690
Li  0.594  0.583  0.190
Li  0.636  0.156  0.255
Li  0.647  0.641  0.771
Li  0.759  0.227  0.513
Li  0.763  0.736  0.999
Li  0.840  0.839  0.193
Li  0.846  0.333  0.687
Li  0.879  0.358  0.283
Li  0.910  0.888  0.762
Mn  0.191  0.682  0.903
Mn  0.193  0.181  0.406
Mn  0.432  0.414  0.424
Mn  0.434  0.919  0.925
Mn  0.685  0.168  0.918
Mn  0.685  0.664  0.423
Mn  0.933  0.415  0.923
Mn  0.933  0.917  0.423
F  0.041  0.378  0.710
F  0.041  0.879  0.209
F  0.056  0.182  0.003
F  0.062  0.683  0.499
F  0.115  0.288  0.208
F  0.141  0.778  0.701
F  0.157  0.463  0.908
F  0.166  0.965  0.385
F  0.217  0.407  0.399
F  0.223  0.910  0.885
F  0.242  0.579  0.101
F  0.270  0.069  0.594
F  0.331  0.500  0.607
F  0.332  0.009  0.105
F  0.368  0.662  0.316
F  0.374  0.163  0.815
F  0.431  0.615  0.805
F  0.439  0.088  0.316
F  0.449  0.792  0.498
F  0.453  0.305  0.979
F  0.538  0.878  0.709
F  0.550  0.385  0.210
F  0.557  0.682  0.002
F  0.558  0.180  0.501
F  0.643  0.770  0.210
F  0.649  0.271  0.704
F  0.667  0.454  0.393
F  0.671  0.954  0.891
F  0.727  0.400  0.887
F  0.728  0.891  0.390
F  0.768  0.063  0.101
F  0.772  0.565  0.603
F  0.827  0.001  0.605
F  0.846  0.503  0.109
F  0.861  0.156  0.318
F  0.874  0.662  0.818
F  0.932  0.103  0.815
F  0.933  0.605  0.308
F  0.948  0.293  0.496
F  0.954  0.781  0.009

---

Relative stability in eV/atom, measured from the most stable structure: <A> 0.035; <B> 0.000